# PBE Zn2PdAu, relaxed
# energy of formation = -388 meV/atom
data_Zn2PdAu
_chemical_formula_sum 'Zn8 Pd4 Au4'
_cell_length_a 6.264
_cell_length_b 6.264
_cell_length_c 6.264
_cell_angle_alpha 90.00
_cell_angle_beta 90.00
_cell_angle_gamma 90.00
_symmetry_space_group_name_H-M 'F m -3 m'
_symmetry_Int_Tables_number 225
_symmetry_space_group_name_Hall '-F 4 2 3'
loop_
_atom_site_label
_atom_site_fract_x
_atom_site_fract_y
_atom_site_fract_z
Zn1 0.250 0.250 0.250
Pd1 0.000 0.000 0.000
Au1 0.000 0.000 0.500

---

# PBE Zn2PdAu, relaxed
# energy of formation = -389 meV/atom
data_Zn2PdAu
_chemical_formula_sum 'Zn2 Pd1 Au1'
_cell_length_a 3.157
_cell_length_b 3.157
_cell_length_c 6.170
_cell_angle_alpha 90.00
_cell_angle_beta 90.00
_cell_angle_gamma 90.00
_symmetry_space_group_name_H-M 'P 4/m m m'
_symmetry_Int_Tables_number 123
_symmetry_space_group_name_Hall '-P 4 2'
loop_
_atom_site_label
_atom_site_fract_x
_atom_site_fract_y
_atom_site_fract_z
Zn1 0.000 0.000 0.237
Pd1 0.500 0.500 0.000
Au1 0.500 0.500 0.500

---

# PBE Pm3Au, relaxed
# energy of formation = -232 meV/atom
# ΔE to the lowest computed polymorph = 0 meV/atom
data_Pm3Au
_chemical_formula_sum 'Pm6 Au2'
_cell_length_a 7.0023
_cell_length_b 7.0023
_cell_length_c 5.3363
_cell_angle_alpha 90.00
_cell_angle_beta 90.00
_cell_angle_gamma 120.00
_symmetry_space_group_name_H-M 'P 63/m m c'
_symmetry_Int_Tables_number 194
_symmetry_space_group_name_Hall '-P 6c 2c'
loop_
_atom_site_label
_atom_site_fract_x
_atom_site_fract_y
_atom_site_fract_z
Pm1 0.1765 0.3530 0.2500
Au1 0.3333 0.6667 0.7500

---

# PBE PmAu3, relaxed
# energy of formation = -647 meV/atom
# ΔE to the lowest computed polymorph = 13 meV/atom
data_PmAu3
_chemical_formula_sum 'Pm4 Au12'
_cell_length_a 7.034
_cell_length_b 7.034
_cell_length_c 7.034
_cell_angle_alpha 90.00
_cell_angle_beta 90.00
_cell_angle_gamma 90.00
_symmetry_space_group_name_H-M 'F m -3 m'
_symmetry_Int_Tables_number 225
_symmetry_space_group_name_Hall '-F 4 2 3'
loop_
_atom_site_label
_atom_site_fract_x
_atom_site_fract_y
_atom_site_fract_z
Pm1 0.000 0.000 0.000
Au1 0.000 0.000 0.500
Au2 0.250 0.250 0.250

---

# PBE PmAu3, relaxed
# energy of formation = -660 meV/atom
# ΔE to the lowest computed polymorph = 0 meV/atom
data_PmAu3
_chemical_formula_sum 'Pm2 Au6'
_cell_length_a 6.4382
_cell_length_b 6.4382
_cell_length_c 4.8430
_cell_angle_alpha 90.00
_cell_angle_beta 90.00
_cell_angle_gamma 120.00
_symmetry_space_group_name_H-M 'P 63/m m c'
_symmetry_Int_Tables_number 194
_symmetry_space_group_name_Hall '-P 6c 2c'
loop_
_atom_site_label
_atom_site_fract_x
_atom_site_fract_y
_atom_site_fract_z
Pm1 0.3333 0.6667 0.2500
Au1 0.1567 0.3133 0.7500

---

# PBE Pm3Au, relaxed
# energy of formation = -209 meV/atom
# ΔE to the lowest computed polymorph = 23 meV/atom
# M_tot = 0.01 μB/atom
data_Pm3Au
_chemical_formula_sum 'Pm6 Au2'
_cell_length_a 4.706
_cell_length_b 4.706
_cell_length_c 10.226
_cell_angle_alpha 90.00
_cell_angle_beta 90.00
_cell_angle_gamma 90.00
_symmetry_space_group_name_H-M 'I 4/m m m'
_symmetry_Int_Tables_number 139
_symmetry_space_group_name_Hall '-I 4 2'
loop_
_atom_site_label
_atom_site_fract_x
_atom_site_fract_y
_atom_site_fract_z
Pm1 0.000 0.000 0.000
Pm2 0.000 0.500 0.250
Au1 0.000 0.000 0.500

---

# PBE Pm2PtAu, relaxed
# energy of formation = -925 meV/atom
data_Pm2PtAu
_chemical_formula_sum 'Pm8 Pt4 Au4'
_cell_length_a 7.278
_cell_length_b 7.278
_cell_length_c 7.278
_cell_angle_alpha 90.00
_cell_angle_beta 90.00
_cell_angle_gamma 90.00
_symmetry_space_group_name_H-M 'F m -3 m'
_symmetry_Int_Tables_number 225
_symmetry_space_group_name_Hall '-F 4 2 3'
loop_
_atom_site_label
_atom_site_fract_x
_atom_site_fract_y
_atom_site_fract_z
Pm1 0.250 0.250 0.250
Pt1 0.000 0.000 0.000
Au1 0.000 0.000 0.500

---

# PBE Pm2RuAu, relaxed
# energy of formation = -461 meV/atom
data_Pm2RuAu
_chemical_formula_sum 'Pm8 Ru4 Au4'
_cell_length_a 7.190
_cell_length_b 7.190
_cell_length_c 7.190
_cell_angle_alpha 90.00
_cell_angle_beta 90.00
_cell_angle_gamma 90.00
_symmetry_space_group_name_H-M 'F m -3 m'
_symmetry_Int_Tables_number 225
_symmetry_space_group_name_Hall '-F 4 2 3'
loop_
_atom_site_label
_atom_site_fract_x
_atom_site_fract_y
_atom_site_fract_z
Pm1 0.250 0.250 0.250
Ru1 0.000 0.000 0.000
Au1 0.000 0.000 0.500

---

# PBE PmSbAu2, relaxed
# energy of formation = -634 meV/atom
data_PmSbAu2
_chemical_formula_sum 'Pm4 Sb4 Au8'
_cell_length_a 7.197
_cell_length_b 7.197
_cell_length_c 7.197
_cell_angle_alpha 90.00
_cell_angle_beta 90.00
_cell_angle_gamma 90.00
_symmetry_space_group_name_H-M 'F m -3 m'
_symmetry_Int_Tables_number 225
_symmetry_space_group_name_Hall '-F 4 2 3'
loop_
_atom_site_label
_atom_site_fract_x
_atom_site_fract_y
_atom_site_fract_z
Pm1 0.000 0.000 0.000
Sb1 0.000 0.000 0.500
Au1 0.250 0.250 0.250

---

# PBE Pm2SiAu, relaxed
# energy of formation = -630 meV/atom
data_Pm2SiAu
_chemical_formula_sum 'Pm8 Si4 Au4'
_cell_length_a 7.344
_cell_length_b 7.344
_cell_length_c 7.344
_cell_angle_alpha 90.00
_cell_angle_beta 90.00
_cell_angle_gamma 90.00
_symmetry_space_group_name_H-M 'F m -3 m'
_symmetry_Int_Tables_number 225
_symmetry_space_group_name_Hall '-F 4 2 3'
loop_
_atom_site_label
_atom_site_fract_x
_atom_site_fract_y
_atom_site_fract_z
Pm1 0.250 0.250 0.250
Si1 0.000 0.000 0.000
Au1 0.000 0.000 0.500

---

# PBE Pm2SnAu, relaxed
# energy of formation = -719 meV/atom
data_Pm2SnAu
_chemical_formula_sum 'Pm8 Sn4 Au4'
_cell_length_a 7.577
_cell_length_b 7.577
_cell_length_c 7.577
_cell_angle_alpha 90.00
_cell_angle_beta 90.00
_cell_angle_gamma 90.00
_symmetry_space_group_name_H-M 'F m -3 m'
_symmetry_Int_Tables_number 225
_symmetry_space_group_name_Hall '-F 4 2 3'
loop_
_atom_site_label
_atom_site_fract_x
_atom_site_fract_y
_atom_site_fract_z
Pm1 0.250 0.250 0.250
Sn1 0.000 0.000 0.000
Au1 0.000 0.000 0.500

---

# PBE Pr2Au, relaxed
# energy of formation = -538 meV/atom
data_Pr2Au
_chemical_formula_sum 'Pr8 Au4'
_cell_length_a 7.406
_cell_length_b 5.153
_cell_length_c 9.424
_cell_angle_alpha 90.00
_cell_angle_beta 90.00
_cell_angle_gamma 90.00
_symmetry_space_group_name_H-M 'P n m a'
_symmetry_Int_Tables_number 62
loop_
_symmetry_equiv_pos_as_xyz
'x,y,z'
'-x,-y,-z'
'-x+1/2,-y,z+1/2'
'x+1/2,y,-z+1/2'
'x+1/2,-y+1/2,-z+1/2'
'-x+1/2,y+1/2,z+1/2'
'-x,y+1/2,-z'
'x,-y+1/2,z'
loop_
_atom_site_label
_atom_site_fract_x
_atom_site_fract_y
_atom_site_fract_z
Pr1 0.007 0.250 0.174
Pr2 0.150 0.250 0.586
Au1 0.241 0.250 0.904

---

What did the twelfth record say?
# PBE Pr2Au, relaxed
# energy of formation = -538 meV/atom
data_Pr2Au
_chemical_formula_sum 'Pr8 Au4'
_cell_length_a 7.406
_cell_length_b 5.153
_cell_length_c 9.424
_cell_angle_alpha 90.00
_cell_angle_beta 90.00
_cell_angle_gamma 90.00
_symmetry_space_group_name_H-M 'P n m a'
_symmetry_Int_Tables_number 62
loop_
_symmetry_equiv_pos_as_xyz
'x,y,z'
'-x,-y,-z'
'-x+1/2,-y,z+1/2'
'x+1/2,y,-z+1/2'
'x+1/2,-y+1/2,-z+1/2'
'-x+1/2,y+1/2,z+1/2'
'-x,y+1/2,-z'
'x,-y+1/2,z'
loop_
_atom_site_label
_atom_site_fract_x
_atom_site_fract_y
_atom_site_fract_z
Pr1 0.007 0.250 0.174
Pr2 0.150 0.250 0.586
Au1 0.241 0.250 0.904

---

- What is the formula in the fourth record?
  PmAu3

---

Repeat the second record exactly.
# PBE Zn2PdAu, relaxed
# energy of formation = -389 meV/atom
data_Zn2PdAu
_chemical_formula_sum 'Zn2 Pd1 Au1'
_cell_length_a 3.157
_cell_length_b 3.157
_cell_length_c 6.170
_cell_angle_alpha 90.00
_cell_angle_beta 90.00
_cell_angle_gamma 90.00
_symmetry_space_group_name_H-M 'P 4/m m m'
_symmetry_Int_Tables_number 123
_symmetry_space_group_name_Hall '-P 4 2'
loop_
_atom_site_label
_atom_site_fract_x
_atom_site_fract_y
_atom_site_fract_z
Zn1 0.000 0.000 0.237
Pd1 0.500 0.500 0.000
Au1 0.500 0.500 0.500